# 1
First-principles (PBE+U) data for a geometry-optimized MgFeP2O7 structure, as listed in the Materials Project database.

Output
Its energy above the most stable polymorph in this dataset is 266 kJ/mol of formula units.

abc: 5.378 5.375 4.965
angles: 84.85 95.13 78.77
Sites, in units of the cell vectors:
O 0.443 0.182 0.262
Mg 0.503 0.503 0.000
Fe 0.109 0.109 0.000
O 0.845 0.322 0.221
O 0.546 0.547 0.500
O 0.099 0.781 0.297
O 0.781 0.099 0.703
P 0.668 0.248 0.436
O 0.322 0.845 0.779
P 0.248 0.668 0.564
O 0.182 0.443 0.738

=====

# 2
First-principles (PBE+U) data for a geometry-optimized CaWO2 structure, as listed in the Materials Project database.

Output
Its energy above the most stable polymorph in this dataset is 0 kJ/mol of formula units.

abc: 3.160 8.353 8.523
angles: 87.63 79.58 79.37
Sites, in units of the cell vectors:
W 0.002 0.323 0.606
O 0.179 0.495 0.164
O 0.745 0.161 0.469
O 0.882 0.479 0.819
W 0.362 0.594 0.663
O 0.843 0.197 0.140
Ca 0.376 0.027 0.284
W 0.027 0.648 0.377
O 0.029 0.140 0.779
W 0.662 0.378 0.317
O 0.198 0.778 0.837
Ca 0.391 0.275 0.955
Ca 0.651 0.698 0.027
O 0.011 0.831 0.203
Ca 0.667 0.949 0.695
O 0.331 0.802 0.504

=====

# 3
First-principles (PBE+U) data for a geometry-optimized ZnCrO3 structure, as listed in the Materials Project database.

abc: 5.106 5.127 7.647
angles: 90.01 90.01 90.00
Sites, in units of the cell vectors:
O 0.395 0.921 0.250
O 0.332 0.679 0.940
Zn 0.014 0.030 0.250
Zn 0.986 0.969 0.750
O 0.168 0.179 0.560
O 0.168 0.179 0.940
Cr 0.500 0.000 0.000
Zn 0.514 0.469 0.750
Cr 0.000 0.500 0.500
O 0.895 0.579 0.750
Cr 0.500 0.000 0.500
O 0.606 0.079 0.750
O 0.105 0.421 0.250
O 0.668 0.321 0.439
Cr 0.000 0.500 0.000
O 0.332 0.679 0.560
O 0.832 0.821 0.440
Zn 0.486 0.531 0.250
O 0.668 0.321 0.061
O 0.832 0.821 0.060

=====

# 4
First-principles (PBE+U) data for a geometry-optimized Ca2GaFeO5 structure, as listed in the Materials Project database.

abc: 5.482 5.687 14.736
angles: 90.00 90.00 90.00
Sites, in units of the cell vectors:
O 0.967 0.575 0.857
Ga 0.048 0.429 0.750
O 0.737 0.736 0.485
O 0.467 0.925 0.857
Fe 0.500 0.000 0.500
O 0.737 0.736 0.015
O 0.263 0.264 0.985
Ca 0.479 0.472 0.108
Ga 0.452 0.929 0.250
O 0.763 0.236 0.515
O 0.105 0.873 0.250
O 0.033 0.425 0.357
O 0.763 0.236 0.985
O 0.895 0.127 0.750
Ca 0.979 0.028 0.108
Ca 0.479 0.472 0.392
O 0.237 0.764 0.015
O 0.533 0.075 0.357
Ca 0.021 0.972 0.892
Ca 0.521 0.528 0.608
O 0.395 0.373 0.750
O 0.533 0.075 0.143
O 0.967 0.575 0.643
O 0.263 0.264 0.515
Fe 0.000 0.500 0.500
Ca 0.021 0.972 0.608
Ca 0.521 0.528 0.892
Ga 0.548 0.071 0.750
O 0.237 0.764 0.485
Fe 0.500 0.000 0.000
Fe 0.000 0.500 0.000
Ca 0.979 0.028 0.392
O 0.467 0.925 0.643
Ga 0.952 0.571 0.250
O 0.605 0.627 0.250
O 0.033 0.425 0.143

=====

# 5
First-principles (PBE+U) data for a geometry-optimized Li4Nb2Cr3Ni3O16 structure, as listed in the Materials Project database.

Output
Its energy above the most stable polymorph in this dataset is 22 kJ/mol of formula units.

abc: 5.892 5.893 9.643
angles: 90.03 90.44 120.03
Sites, in units of the cell vectors:
O 0.644 0.322 0.611
O 0.952 0.476 0.839
O 0.015 0.008 0.303
O 0.176 0.336 0.593
Ni 0.658 0.829 0.212
O 0.335 0.168 0.099
O 0.500 0.468 0.846
Li 0.665 0.333 0.398
O 0.012 0.006 0.797
Cr 0.349 0.174 0.725
O 0.037 0.519 0.337
Li 0.324 0.662 0.898
Ni 0.827 0.169 0.713
O 0.478 0.964 0.339
Nb 0.338 0.669 0.499
O 0.313 0.657 0.107
O 0.500 0.032 0.845
O 0.841 0.673 0.094
Li 0.004 0.002 0.990
Cr 0.177 0.344 0.219
Nb 0.677 0.339 0.997
Li 0.002 0.001 0.494
Ni 0.827 0.658 0.713
O 0.674 0.837 0.593
O 0.841 0.168 0.094
Cr 0.179 0.834 0.219
O 0.176 0.840 0.593
O 0.477 0.514 0.339

=====

# 6
First-principles (PBE+U) data for a geometry-optimized LiMnF4 structure, as listed in the Materials Project database.

abc: 5.076 5.328 6.330
angles: 114.50 107.19 89.85
Sites, in units of the cell vectors:
F 0.504 0.227 0.199
Mn 0.000 0.000 0.500
Li 0.743 0.137 0.994
Li 0.257 0.863 0.006
F 0.643 0.788 0.357
F 0.147 0.575 0.361
F 0.998 0.023 0.803
Mn 0.500 0.500 0.500
F 0.357 0.212 0.643
F 0.002 0.977 0.197
F 0.853 0.425 0.639
F 0.496 0.773 0.801

=====

# 7
First-principles (PBE+U) data for a geometry-optimized CuWO4 structure, as listed in the Materials Project database.

Output
Its energy above the most stable polymorph in this dataset is 9 kJ/mol of formula units.

abc: 4.663 5.009 5.770
angles: 90.00 90.00 91.38
Sites, in units of the cell vectors:
O 0.781 0.068 0.893
W 0.000 0.750 0.825
W 0.000 0.250 0.175
O 0.740 0.593 0.623
O 0.740 0.093 0.377
Cu 0.500 0.250 0.664
O 0.219 0.932 0.107
O 0.260 0.407 0.377
O 0.781 0.568 0.107
O 0.219 0.432 0.893
O 0.260 0.907 0.623
Cu 0.500 0.750 0.336

=====

# 8
First-principles (PBE+U) data for a geometry-optimized Li9Mn2Co5O16 structure, as listed in the Materials Project database.

Output
Its energy above the most stable polymorph in this dataset is 244 kJ/mol of formula units.

abc: 3.023 7.795 12.496
angles: 89.40 89.79 82.33
Sites, in units of the cell vectors:
Li 0.057 0.880 0.681
Co 0.883 0.237 0.620
Li 0.939 0.121 0.317
O 0.836 0.313 0.766
O 0.129 0.683 0.234
O 0.261 0.559 0.896
Li 0.190 0.624 0.065
Mn 0.631 0.747 0.873
Li 0.500 0.000 0.499
Li 0.436 0.126 0.809
O 0.363 0.188 0.977
O 0.952 0.072 0.150
Li 0.566 0.874 0.190
Co 0.115 0.760 0.380
O 0.485 0.076 0.652
O 0.254 0.429 0.600
Co 0.256 0.496 0.745
O 0.387 0.321 0.278
Li 0.317 0.376 0.440
Li 0.682 0.626 0.560
O 0.502 0.924 0.346
O 0.002 0.933 0.850
Li 0.814 0.373 0.937
O 0.732 0.575 0.397
Co 0.758 0.502 0.254
O 0.671 0.681 0.722
O 0.900 0.198 0.483
Co 0.374 0.255 0.129
O 0.622 0.813 0.025
O 0.098 0.802 0.516
Mn 0.989 0.002 0.001
O 0.799 0.434 0.107

=====

# 9
First-principles (PBE+U) data for a geometry-optimized MgCo6O10F2 structure, as listed in the Materials Project database.

Output
Its energy above the most stable polymorph in this dataset is 88 kJ/mol of formula units.

abc: 4.806 13.910 2.906
angles: 90.00 90.00 96.51
Sites, in units of the cell vectors:
O 0.130 0.930 0.478
Co 0.049 0.644 0.994
Co 0.000 0.000 0.977
O 0.309 0.433 0.996
Co 0.500 0.500 0.496
Mg 0.500 0.000 0.475
O 0.652 0.910 0.979
O 0.636 0.256 0.989
Co 0.544 0.809 0.487
Co 0.456 0.191 0.487
O 0.691 0.567 0.996
F 0.123 0.273 0.492
O 0.348 0.090 0.979
O 0.364 0.744 0.989
Co 0.951 0.356 0.994
O 0.784 0.418 0.495
O 0.870 0.070 0.478
O 0.216 0.582 0.495
F 0.877 0.727 0.492

=====

# 10
First-principles (PBE+U) data for a geometry-optimized Li5Cr2Co3O10 structure, as listed in the Materials Project database.

Output
Its energy above the most stable polymorph in this dataset is 15 kJ/mol of formula units.

abc: 5.076 7.804 10.160
angles: 109.31 99.46 70.66
Sites, in units of the cell vectors:
Co 0.994 0.110 0.157
Li 0.514 0.788 0.698
Li 0.006 0.504 0.250
Li 0.485 0.213 0.798
Co 0.987 0.114 0.655
Co 0.999 0.899 0.350
Cr 0.000 0.696 0.547
O 0.771 0.545 0.070
O 0.225 0.669 0.725
Cr 0.005 0.695 0.055
O 0.229 0.668 0.230
O 0.750 0.948 0.661
Cr 0.001 0.304 0.949
Li 0.500 0.586 0.899
O 0.769 0.336 0.773
Li 0.491 0.589 0.392
O 0.233 0.859 0.027
O 0.232 0.866 0.518
O 0.771 0.138 0.973
O 0.252 0.230 0.610
Co 0.502 0.998 0.001
O 0.767 0.548 0.567
O 0.774 0.332 0.272
Li 0.492 0.212 0.302
O 0.238 0.044 0.335
O 0.260 0.230 0.112
Co 0.500 0.999 0.497
O 0.240 0.051 0.828
Li 0.512 0.782 0.203
O 0.757 0.773 0.385
O 0.771 0.946 0.179
O 0.757 0.133 0.473
O 0.232 0.453 0.931
Li 0.999 0.502 0.751
O 0.232 0.450 0.430
Co 0.010 0.889 0.845
Li 0.496 0.414 0.603
Cr 0.999 0.303 0.450
Li 0.501 0.417 0.105
O 0.744 0.769 0.890

=====

# 11
First-principles (PBE+U) data for a geometry-optimized Ca4Si6W3O19 structure, as listed in the Materials Project database.

abc: 23.580 23.213 6.715
angles: 84.87 78.66 16.48
Sites, in units of the cell vectors:
Ca 0.416 0.792 0.207
Ca 0.926 0.282 0.707
O 0.797 0.403 0.094
Si 0.945 0.396 0.676
O 0.328 0.477 0.035
Si 0.101 0.557 0.531
Si 0.854 0.305 0.267
Ca 0.165 0.543 0.968
O 0.455 0.950 0.185
O 0.591 0.712 0.277
W 0.174 0.294 0.793
O 0.122 0.445 0.093
O 0.805 0.128 0.910
Ca 0.458 0.834 0.665
Si 0.439 0.719 0.693
O 0.401 0.541 0.288
Ca 0.207 0.585 0.416
O 0.093 0.340 0.122
O 0.709 0.849 0.479
Si 0.693 0.149 0.439
O 0.926 0.171 0.174
O 0.876 0.759 0.751
O 0.079 0.324 0.521
O 0.479 0.962 0.709
W 0.956 0.076 0.512
O 0.185 0.410 0.455
O 0.840 0.065 0.300
O 0.064 0.936 0.064
O 0.300 0.795 0.840
Si 0.955 0.979 0.046
O 0.910 0.157 0.805
Si 0.267 0.574 0.854
O 0.637 0.499 0.491
W 0.793 0.738 0.174
O 0.351 0.951 0.046
Ca 0.968 0.324 0.165
Si 0.531 0.811 0.101
Ca 0.665 0.043 0.458
W 0.704 0.796 0.704
O 0.544 0.156 0.847
O 0.174 0.729 0.926
O 0.598 0.204 0.299
O 0.538 0.659 0.831
O 0.491 0.374 0.637
O 0.288 0.771 0.401
W 0.512 0.457 0.956
O 0.299 0.899 0.598
O 0.090 0.215 0.773
Si 0.230 0.204 0.271
O 0.035 0.160 0.328
Si 0.046 0.020 0.955
W 0.454 0.546 0.454
Si 0.676 0.983 0.945
Si 0.271 0.295 0.230
O 0.831 0.973 0.538
O 0.751 0.613 0.876
O 0.094 0.706 0.797
O 0.277 0.419 0.591
O 0.314 0.186 0.314
O 0.521 0.076 0.079
O 0.046 0.652 0.351
O 0.773 0.922 0.090
O 0.847 0.453 0.544
Ca 0.707 0.085 0.926

=====

# 12
First-principles (PBE+U) data for a geometry-optimized CaPrMnSbO6 structure, as listed in the Materials Project database.

abc: 5.723 5.723 5.723
angles: 60.00 60.00 60.00
Sites, in units of the cell vectors:
O 0.744 0.256 0.744
Sb 0.500 0.500 0.500
O 0.744 0.744 0.256
O 0.256 0.256 0.744
O 0.256 0.744 0.256
O 0.744 0.256 0.256
Mn 0.000 0.000 0.000
Ca 0.750 0.750 0.750
Pr 0.250 0.250 0.250
O 0.256 0.744 0.744

=====

no.,E_tot (eV per atom),ΔH_f (0 K) (meV/atom),calculated volume (Å³/atom)
1,-6.8387,-2433,12.67
2,-6.7134,-1951,13.59
3,-6.1786,-1839,10.01
4,-6.4548,-2615,12.76
5,-6.7884,-2192,10.35
6,-5.4268,-2891,12.28
7,-6.6298,-1686,11.23
8,-5.7756,-1785,9.12
9,-5.5507,-1344,10.16
10,-6.1082,-1915,8.94
11,-7.2530,-2656,14.92
12,-7.0022,-2605,13.26